1) ## MgFe6O7F5 (PBE with a Hubbard U)

Data for a geometry-optimized MgFe6O7F5 structure.

The structure in CIF format:
```
data_MgFe6O7F5
_chemical_formula_sum 'Mg1 Fe6 O7 F5'
_cell_length_a 5.303
_cell_length_b 5.186
_cell_length_c 8.962
_cell_angle_alpha 88.97
_cell_angle_beta 90.01
_cell_angle_gamma 102.96
_symmetry_space_group_name_H-M 'P 1'
_symmetry_Int_Tables_number 1
loop_
_symmetry_equiv_pos_as_xyz
'x,y,z'
loop_
_atom_site_label
_atom_site_fract_x
_atom_site_fract_y
_atom_site_fract_z
Fe1 0.448 0.576 0.494
Fe2 0.023 0.942 0.973
Fe3 0.079 0.992 0.651
Fe4 0.517 0.464 0.156
Fe5 0.012 0.997 0.325
Fe6 0.416 0.540 0.840
O1 0.340 0.324 0.659
O2 0.677 0.698 0.993
O3 0.281 0.339 0.326
O4 0.286 0.281 0.003
O5 0.699 0.687 0.331
O6 0.181 0.782 0.488
O7 0.191 0.789 0.819
F1 0.698 0.735 0.656
F2 0.147 0.778 0.157
F3 0.864 0.191 0.502
F4 0.888 0.140 0.815
F5 0.782 0.244 0.192
Mg1 0.970 0.487 0.353
```

2) ## MgFe6O7F5 (PBE with a Hubbard U)

Data for a geometry-optimized MgFe6O7F5 structure.

The structure in CIF format:
```
data_MgFe6O7F5
_chemical_formula_sum 'Mg1 Fe6 O7 F5'
_cell_length_a 8.335
_cell_length_b 6.019
_cell_length_c 5.803
_cell_angle_alpha 66.98
_cell_angle_beta 65.46
_cell_angle_gamma 63.81
_symmetry_space_group_name_H-M 'P 1'
_symmetry_Int_Tables_number 1
loop_
_symmetry_equiv_pos_as_xyz
'x,y,z'
loop_
_atom_site_label
_atom_site_fract_x
_atom_site_fract_y
_atom_site_fract_z
O1 0.001 0.319 0.662
O2 0.338 0.950 0.348
O3 0.339 0.360 0.972
O4 0.039 0.782 0.768
O5 0.681 0.015 0.648
O6 0.988 0.203 0.187
O7 0.673 0.628 0.045
Fe1 0.874 0.680 0.699
Fe2 0.002 0.025 0.962
Fe3 0.306 0.659 0.643
Fe4 0.136 0.278 0.301
Fe5 0.719 0.332 0.379
Fe6 0.529 0.000 0.007
F1 0.695 0.133 0.070
F2 0.383 0.442 0.411
F3 0.590 0.569 0.627
F4 0.291 0.851 0.902
F5 0.986 0.709 0.288
Mg1 0.495 0.506 0.023
```

3) ## MgFe6O7F5 (PBE with a Hubbard U)

Data for a geometry-optimized MgFe6O7F5 structure.

The structure in CIF format:
```
data_MgFe6O7F5
_chemical_formula_sum 'Mg1 Fe6 O7 F5'
_cell_length_a 5.124
_cell_length_b 7.916
_cell_length_c 5.728
_cell_angle_alpha 96.17
_cell_angle_beta 95.98
_cell_angle_gamma 85.79
_symmetry_space_group_name_H-M 'P 1'
_symmetry_Int_Tables_number 1
loop_
_symmetry_equiv_pos_as_xyz
'x,y,z'
loop_
_atom_site_label
_atom_site_fract_x
_atom_site_fract_y
_atom_site_fract_z
Fe1 0.004 0.029 0.932
Fe2 0.463 0.991 0.538
Fe3 0.016 0.656 0.703
Fe4 0.499 0.335 0.822
Fe5 0.973 0.296 0.331
Fe6 0.506 0.622 0.208
F1 0.217 0.228 0.021
F2 0.858 0.776 0.983
F3 0.310 0.894 0.198
F4 0.145 0.597 0.373
F5 0.812 0.437 0.619
O1 0.688 0.771 0.487
O2 0.306 0.556 0.874
O3 0.718 0.406 0.116
O4 0.861 0.074 0.240
O5 0.170 0.891 0.673
O6 0.700 0.113 0.760
O7 0.291 0.230 0.529
Mg1 0.975 0.847 0.329
```

Relative energy of each structure, in meV/atom: 1) 30; 2) 0; 3) 53.

1) ## MgFe6O7F5 (PBE with a Hubbard U)

Data for a geometry-optimized MgFe6O7F5 structure.

The structure in CIF format:
```
data_MgFe6O7F5
_chemical_formula_sum 'Mg1 Fe6 O7 F5'
_cell_length_a 5.133
_cell_length_b 5.208
_cell_length_c 8.872
_cell_angle_alpha 90.00
_cell_angle_beta 90.00
_cell_angle_gamma 101.81
_symmetry_space_group_name_H-M 'P 1'
_symmetry_Int_Tables_number 1
loop_
_symmetry_equiv_pos_as_xyz
'x,y,z'
loop_
_atom_site_label
_atom_site_fract_x
_atom_site_fract_y
_atom_site_fract_z
F1 0.172 0.826 0.167
F2 0.808 0.156 0.503
F3 0.794 0.157 0.167
F4 0.686 0.732 0.667
F5 0.808 0.156 0.830
O1 0.237 0.844 0.832
O2 0.333 0.340 0.667
O3 0.282 0.299 0.325
O4 0.237 0.843 0.502
O5 0.708 0.671 0.997
O6 0.708 0.671 0.336
O7 0.282 0.300 0.009
Mg1 0.531 0.053 0.667
Fe1 0.039 0.007 0.667
Fe2 0.562 0.428 0.167
Fe3 0.411 0.551 0.475
Fe4 0.015 0.969 0.989
Fe5 0.412 0.552 0.858
Fe6 0.015 0.969 0.344
```

2) ## MgFe6O7F5 (PBE with a Hubbard U)

Data for a geometry-optimized MgFe6O7F5 structure.

The structure in CIF format:
```
data_MgFe6O7F5
_chemical_formula_sum 'Mg1 Fe6 O7 F5'
_cell_length_a 5.158
_cell_length_b 5.065
_cell_length_c 8.972
_cell_angle_alpha 90.33
_cell_angle_beta 87.59
_cell_angle_gamma 99.75
_symmetry_space_group_name_H-M 'P 1'
_symmetry_Int_Tables_number 1
loop_
_symmetry_equiv_pos_as_xyz
'x,y,z'
loop_
_atom_site_label
_atom_site_fract_x
_atom_site_fract_y
_atom_site_fract_z
Fe1 0.053 0.027 0.333
Fe2 0.011 0.983 0.656
Fe3 0.544 0.401 0.137
Fe4 0.967 0.004 0.009
Fe5 0.443 0.559 0.515
Fe6 0.451 0.535 0.833
O1 0.839 0.220 0.175
O2 0.171 0.783 0.492
O3 0.674 0.694 0.000
O4 0.308 0.260 0.988
O5 0.674 0.724 0.666
O6 0.336 0.352 0.326
O7 0.298 0.301 0.667
F1 0.142 0.781 0.158
F2 0.842 0.163 0.833
F3 0.718 0.716 0.340
F4 0.166 0.786 0.829
F5 0.856 0.228 0.496
Mg1 0.006 0.510 0.327
```

3) ## MgFe6O7F5 (PBE with a Hubbard U)

Data for a geometry-optimized MgFe6O7F5 structure.

The structure in CIF format:
```
data_MgFe6O7F5
_chemical_formula_sum 'Mg1 Fe6 O7 F5'
_cell_length_a 8.155
_cell_length_b 5.969
_cell_length_c 5.782
_cell_angle_alpha 68.23
_cell_angle_beta 66.56
_cell_angle_gamma 63.88
_symmetry_space_group_name_H-M 'P 1'
_symmetry_Int_Tables_number 1
loop_
_symmetry_equiv_pos_as_xyz
'x,y,z'
loop_
_atom_site_label
_atom_site_fract_x
_atom_site_fract_y
_atom_site_fract_z
O1 0.019 0.341 0.673
O2 0.691 0.672 0.069
O3 0.664 0.977 0.614
O4 0.984 0.193 0.228
O5 0.321 0.338 0.959
O6 0.050 0.817 0.753
O7 0.369 0.950 0.360
Fe1 0.688 0.319 0.339
Fe2 0.319 0.638 0.662
Fe3 0.010 0.048 0.965
Fe4 0.475 0.980 0.962
Fe5 0.882 0.686 0.732
Fe6 0.149 0.279 0.317
F1 0.301 0.861 0.908
F2 0.964 0.707 0.282
F3 0.608 0.534 0.613
F4 0.382 0.449 0.412
F5 0.722 0.127 0.065
Mg1 0.661 0.835 0.348
```

Relative energy of each structure, in meV/atom: 1) 43; 2) 54; 3) 0.

1) ## MgFe6O7F5 (PBE with a Hubbard U)

Data for a geometry-optimized MgFe6O7F5 structure.

The structure in CIF format:
```
data_MgFe6O7F5
_chemical_formula_sum 'Mg1 Fe6 O7 F5'
_cell_length_a 5.231
_cell_length_b 5.190
_cell_length_c 8.857
_cell_angle_alpha 86.86
_cell_angle_beta 92.13
_cell_angle_gamma 102.36
_symmetry_space_group_name_H-M 'P 1'
_symmetry_Int_Tables_number 1
loop_
_symmetry_equiv_pos_as_xyz
'x,y,z'
loop_
_atom_site_label
_atom_site_fract_x
_atom_site_fract_y
_atom_site_fract_z
F1 0.152 0.839 0.183
F2 0.831 0.197 0.830
F3 0.840 0.198 0.499
F4 0.702 0.719 0.341
F5 0.180 0.746 0.837
Fe1 0.465 0.539 0.847
Fe2 0.430 0.578 0.497
Fe3 0.037 0.027 0.347
Fe4 0.969 0.023 0.021
Fe5 0.571 0.402 0.164
Fe6 0.030 0.986 0.673
O1 0.319 0.268 0.000
O2 0.162 0.781 0.505
O3 0.279 0.338 0.671
O4 0.343 0.315 0.340
O5 0.835 0.189 0.179
O6 0.700 0.691 0.009
O7 0.692 0.692 0.669
Mg1 0.948 0.472 0.652
```

2) ## MgFe6O7F5 (PBE with a Hubbard U)

Data for a geometry-optimized MgFe6O7F5 structure.

The structure in CIF format:
```
data_MgFe6O7F5
_chemical_formula_sum 'Mg1 Fe6 O7 F5'
_cell_length_a 4.895
_cell_length_b 7.952
_cell_length_c 5.701
_cell_angle_alpha 96.01
_cell_angle_beta 93.67
_cell_angle_gamma 85.73
_symmetry_space_group_name_H-M 'P 1'
_symmetry_Int_Tables_number 1
loop_
_symmetry_equiv_pos_as_xyz
'x,y,z'
loop_
_atom_site_label
_atom_site_fract_x
_atom_site_fract_y
_atom_site_fract_z
O1 0.736 0.118 0.772
O2 0.712 0.772 0.448
O3 0.247 0.232 0.567
O4 0.762 0.085 0.269
O5 0.277 0.566 0.883
O6 0.744 0.437 0.126
O7 0.219 0.905 0.724
F1 0.240 0.570 0.371
F2 0.279 0.889 0.212
F3 0.194 0.214 0.073
F4 0.790 0.769 0.942
F5 0.789 0.459 0.614
Fe1 0.504 0.003 0.518
Fe2 0.506 0.335 0.833
Fe3 0.525 0.656 0.169
Fe4 0.968 0.992 0.987
Fe5 0.053 0.702 0.633
Fe6 0.940 0.284 0.359
Mg1 0.015 0.386 0.882
```

Relative energy of each structure, in meV/atom: 1) 0; 2) 60.

1) ## MgFe10O9F11 (PBE with a Hubbard U)

Data for a geometry-optimized MgFe10O9F11 structure.

The structure in CIF format:
```
data_MgFe10O9F11
_chemical_formula_sum 'Mg1 Fe10 O9 F11'
_cell_length_a 4.936
_cell_length_b 4.873
_cell_length_c 15.446
_cell_angle_alpha 90.00
_cell_angle_beta 90.00
_cell_angle_gamma 96.21
_symmetry_space_group_name_H-M 'P 1'
_symmetry_Int_Tables_number 1
loop_
_symmetry_equiv_pos_as_xyz
'x,y,z'
loop_
_atom_site_label
_atom_site_fract_x
_atom_site_fract_y
_atom_site_fract_z
F1 0.185 0.787 0.298
F2 0.829 0.210 0.488
F3 0.666 0.781 0.800
F4 0.870 0.267 0.700
F5 0.829 0.210 0.912
F6 0.192 0.763 0.911
F7 0.822 0.179 0.102
F8 0.185 0.787 0.102
F9 0.192 0.763 0.489
F10 0.822 0.179 0.298
F11 0.666 0.781 0.600
Mg1 0.541 0.025 0.700
O1 0.696 0.692 0.397
O2 0.171 0.846 0.700
O3 0.308 0.281 0.200
O4 0.312 0.272 0.006
O5 0.312 0.272 0.394
O6 0.368 0.286 0.808
O7 0.701 0.690 0.200
O8 0.368 0.286 0.592
O9 0.696 0.692 0.003
Fe1 0.001 0.981 0.398
Fe2 0.499 0.474 0.489
Fe3 0.272 0.477 0.700
Fe4 0.039 0.005 0.589
Fe5 0.499 0.474 0.911
Fe6 0.039 0.005 0.811
Fe7 0.005 0.986 0.200
Fe8 0.001 0.981 0.002
Fe9 0.504 0.487 0.297
Fe10 0.504 0.487 0.103
```

2) ## MgFe10O9F11 (PBE with a Hubbard U)

Data for a geometry-optimized MgFe10O9F11 structure.

The structure in CIF format:
```
data_MgFe10O9F11
_chemical_formula_sum 'Mg1 Fe10 O9 F11'
_cell_length_a 4.878
_cell_length_b 4.896
_cell_length_c 15.427
_cell_angle_alpha 90.00
_cell_angle_beta 90.00
_cell_angle_gamma 95.15
_symmetry_space_group_name_H-M 'P 1'
_symmetry_Int_Tables_number 1
loop_
_symmetry_equiv_pos_as_xyz
'x,y,z'
loop_
_atom_site_label
_atom_site_fract_x
_atom_site_fract_y
_atom_site_fract_z
O1 0.685 0.693 0.200
O2 0.689 0.683 0.002
O3 0.244 0.856 0.700
O4 0.283 0.378 0.805
O5 0.279 0.296 0.200
O6 0.271 0.295 0.394
O7 0.283 0.378 0.595
O8 0.689 0.683 0.398
O9 0.271 0.295 0.006
Fe1 0.063 0.020 0.804
Fe2 0.482 0.496 0.103
Fe3 0.471 0.480 0.912
Fe4 0.498 0.544 0.700
Fe5 0.471 0.480 0.488
Fe6 0.482 0.496 0.297
Fe7 0.973 0.991 0.400
Fe8 0.063 0.020 0.596
Fe9 0.973 0.991 0.000
Fe10 0.984 0.994 0.200
F1 0.173 0.807 0.298
F2 0.773 0.673 0.599
F3 0.773 0.177 0.905
F4 0.773 0.673 0.801
F5 0.773 0.177 0.495
F6 0.212 0.814 0.486
F7 0.173 0.807 0.102
F8 0.786 0.177 0.298
F9 0.786 0.177 0.102
F10 0.785 0.186 0.700
F11 0.212 0.814 0.914
Mg1 0.015 0.517 0.700
```

3) ## MgFe10O9F11 (PBE with a Hubbard U)

Data for a geometry-optimized MgFe10O9F11 structure.

The structure in CIF format:
```
data_MgFe10O9F11
_chemical_formula_sum 'Mg1 Fe10 O9 F11'
_cell_length_a 4.852
_cell_length_b 4.937
_cell_length_c 15.554
_cell_angle_alpha 89.59
_cell_angle_beta 90.38
_cell_angle_gamma 95.98
_symmetry_space_group_name_H-M 'P 1'
_symmetry_Int_Tables_number 1
loop_
_symmetry_equiv_pos_as_xyz
'x,y,z'
loop_
_atom_site_label
_atom_site_fract_x
_atom_site_fract_y
_atom_site_fract_z
F1 0.198 0.784 0.494
F2 0.701 0.757 0.797
F3 0.692 0.726 0.598
F4 0.148 0.775 0.901
F5 0.801 0.184 0.107
F6 0.807 0.188 0.495
F7 0.847 0.230 0.894
F8 0.820 0.270 0.709
F9 0.803 0.171 0.302
F10 0.183 0.798 0.302
F11 0.177 0.794 0.107
Fe1 0.457 0.525 0.690
Fe2 0.494 0.489 0.299
Fe3 0.491 0.470 0.488
Fe4 0.491 0.492 0.106
Fe5 0.041 0.000 0.602
Fe6 0.991 0.981 0.403
Fe7 0.071 0.025 0.794
Fe8 0.994 0.990 0.204
Fe9 0.492 0.490 0.916
Fe10 0.990 0.995 0.007
O1 0.179 0.769 0.704
O2 0.687 0.710 0.010
O3 0.290 0.271 0.013
O4 0.343 0.345 0.801
O5 0.332 0.311 0.594
O6 0.293 0.279 0.396
O7 0.695 0.683 0.400
O8 0.693 0.691 0.204
O9 0.292 0.289 0.204
Mg1 0.991 0.515 0.801
```

4) ## MgFe10O9F11 (PBE with a Hubbard U)

Data for a geometry-optimized MgFe10O9F11 structure.

The structure in CIF format:
```
data_MgFe10O9F11
_chemical_formula_sum 'Mg1 Fe10 O9 F11'
_cell_length_a 4.809
_cell_length_b 4.848
_cell_length_c 15.910
_cell_angle_alpha 90.00
_cell_angle_beta 90.00
_cell_angle_gamma 95.98
_symmetry_space_group_name_H-M 'P 1'
_symmetry_Int_Tables_number 1
loop_
_symmetry_equiv_pos_as_xyz
'x,y,z'
loop_
_atom_site_label
_atom_site_fract_x
_atom_site_fract_y
_atom_site_fract_z
Fe1 0.459 0.515 0.700
Fe2 0.518 0.478 0.315
Fe3 0.034 0.012 0.615
Fe4 0.890 0.101 0.200
Fe5 0.498 0.478 0.500
Fe6 0.034 0.012 0.785
Fe7 0.498 0.478 0.900
Fe8 0.005 0.982 0.415
Fe9 0.005 0.982 0.985
Fe10 0.518 0.478 0.085
O1 0.320 0.320 0.600
O2 0.300 0.282 0.992
O3 0.276 0.312 0.200
O4 0.709 0.687 0.411
O5 0.682 0.713 0.200
O6 0.320 0.320 0.800
O7 0.211 0.801 0.700
O8 0.709 0.687 0.989
O9 0.300 0.282 0.408
F1 0.796 0.220 0.700
F2 0.709 0.711 0.602
F3 0.202 0.789 0.317
F4 0.206 0.798 0.508
F5 0.801 0.184 0.319
F6 0.812 0.185 0.893
F7 0.709 0.711 0.798
F8 0.206 0.798 0.892
F9 0.801 0.184 0.081
F10 0.812 0.185 0.507
F11 0.202 0.789 0.083
Mg1 0.244 0.733 0.200
```

Relative energy of each structure, in meV/atom: 1) 0; 2) 19; 3) 6; 4) 39.